(1)
Compound: AlCuO4F
Source: the Materials Project database
Functional: PBE-GGA
Structure: optimized geometry

## Properties
Symmetry: No. 12
Formation energy in eV/atom: -1.304
V in A^3/atom: 11.12
Crystal system: monoclinic

Cell lengths 5.339, 5.339, 10.591 Å; angles 81.88, 81.88, 31.42 degrees
Fractional coordinates of all 14 atoms:
Al1 0.500 0.500 0.500
Al2 0.000 0.000 0.000
Cu1 0.673 0.673 0.194
Cu2 0.327 0.327 0.806
O1 0.349 0.349 0.624
O2 0.651 0.651 0.376
O3 0.069 0.069 0.151
O4 0.931 0.931 0.849
O5 0.380 0.380 0.058
O6 0.620 0.620 0.942
O7 0.313 0.313 0.187
O8 0.687 0.687 0.813
F1 0.070 0.070 0.579
F2 0.930 0.930 0.421

(2)
Compound: La3MgTi4O12
Source: the Materials Project database
Functional: PBE-GGA
Structure: optimized geometry

## Properties
Symmetry: No. 8
Formation energy in eV/atom: -3.285
V in A^3/atom: 13.95
Crystal system: monoclinic

Cell lengths 5.499, 5.499, 9.227 Å; angles 89.89, 89.91, 89.83 degrees
Fractional coordinates of all 20 atoms:
La1 0.275 0.275 0.077
La2 0.247 0.247 0.442
La3 0.735 0.735 0.947
Mg1 0.239 0.239 0.766
Ti1 0.258 0.755 0.258
Ti2 0.234 0.751 0.690
Ti3 0.755 0.258 0.258
Ti4 0.751 0.234 0.690
O1 0.012 0.012 0.225
O2 0.992 0.992 0.790
O3 0.024 0.488 0.257
O4 0.988 0.496 0.768
O5 0.222 0.784 0.492
O6 0.313 0.707 0.039
O7 0.488 0.024 0.257
O8 0.496 0.988 0.768
O9 0.494 0.494 0.289
O10 0.479 0.478 0.707
O11 0.707 0.313 0.039
O12 0.784 0.222 0.492